(1)
The following is a GGA+U calculation of a geometry-optimized Mn3NiO4 structure, from the Materials Project.

a = 3.1486 Å, b = 3.1486 Å, c = 8.8908 Å
α = 90.00°, β = 90.00°, γ = 90.00°
Space group P4/mmm (No. 123)
Unique sites:
Mn1 0.0000 0.0000 0.0000 [1 per cell]
Mn2 0.5000 0.5000 0.2557 [2 per cell]
Ni1 0.0000 0.0000 0.5000 [1 per cell]
O1 0.0000 0.0000 0.2576 [2 per cell]
O2 0.5000 0.5000 0.0000 [1 per cell]
O3 0.5000 0.5000 0.5000 [1 per cell]

Results
* ΔE_f: -1738.4 meV per atom
* DFT total energy: -7.08 eV/atom
* distance to the lowest polymorph of the same formula: 0.028 eV per formula unit



(2)
The following is a GGA+U calculation of a geometry-optimized Mn3NiO8 structure, from the Materials Project.

a = 5.8328 Å, b = 5.8328 Å, c = 13.7136 Å
α = 90.00°, β = 90.00°, γ = 120.00°
Space group R-3m (No. 166, hexagonal axes)
Unique sites:
Mn1 0.0000 0.5000 0.0000 [9 per cell]
Ni1 0.0000 0.0000 0.0000 [3 per cell]
O1 0.0000 0.0000 0.2632 [6 per cell]
O2 0.0047 0.5024 0.7366 [18 per cell]

Results
* ΔE_f: -1497.0 meV per atom
* DFT total energy: -6.48 eV/atom
* distance to the lowest polymorph of the same formula: 0.000 eV per formula unit



(3)
The following is a GGA+U calculation of a geometry-optimized Mn3NiO4 structure, from the Materials Project.

a = 6.2607 Å, b = 8.8699 Å, c = 3.1406 Å
α = 90.00°, β = 90.00°, γ = 90.00°
Space group Cmmm (No. 65)
Unique sites:
Mn1 0.0000 0.0000 0.0000 [2 per cell]
Mn2 0.2500 0.2500 0.5000 [4 per cell]
Ni1 0.0000 0.5000 0.0000 [2 per cell]
O1 0.0000 0.2531 0.0000 [4 per cell]
O2 0.2409 0.5000 0.5000 [4 per cell]

Results
* ΔE_f: -1741.9 meV per atom
* DFT total energy: -7.09 eV/atom
* distance to the lowest polymorph of the same formula: 0.000 eV per formula unit



(4)
The following is a GGA+U calculation of a geometry-optimized Mn2NiO4 structure, from the Materials Project.

a = 8.2818 Å, b = 8.2658 Å, c = 6.1901 Å
α = 90.00°, β = 131.85°, γ = 90.00°
Space group Cc (No. 9)
Unique sites:
Mn1 0.0000 0.0000 0.0000 [4 per cell]
Mn2 0.2508 0.2511 0.4988 [4 per cell]
Ni1 0.4984 0.1247 0.2458 [4 per cell]
O1 0.0152 0.2366 0.5005 [4 per cell]
O2 0.2362 0.0146 0.4997 [4 per cell]
O3 0.2675 0.4893 0.5110 [4 per cell]
O4 0.4945 0.2613 0.5105 [4 per cell]

Results
* ΔE_f: -1728.1 meV per atom
* DFT total energy: -6.77 eV/atom
* distance to the lowest polymorph of the same formula: 0.325 eV per formula unit